Record 1
DFT (GGA-PBE) results for CeNiB4 after structural relaxation.

Structure (extended XYZ):
```
24
Lattice="-3.807 3.807 4.287 3.807 -3.807 4.287 3.807 3.807 -4.287" Properties=species:S:1:pos:R:3 pbc="T T T"
Ce 0.000 0.000 1.720
Ce 3.807 0.000 2.143
Ce 0.000 3.807 2.143
Ce 0.000 0.000 6.854
Ni 3.807 2.068 0.000
Ni 2.068 3.807 0.000
Ni 1.738 0.000 4.287
Ni 0.000 1.738 4.287
B 2.089 0.848 0.000
B 5.524 0.848 0.000
B 2.023 2.023 -1.309
B 5.590 2.023 -1.309
B 0.848 2.089 0.000
B 2.959 -1.717 4.287
B 2.023 2.023 1.309
B 5.590 2.023 1.309
B -1.783 1.783 2.978
B 1.783 1.783 2.978
B 0.848 5.524 0.000
B 2.959 1.717 4.287
B -1.783 1.783 5.596
B 1.783 1.783 5.596
B -1.717 2.959 4.287
B 1.717 2.959 4.287
```

***

Record 2
DFT (GGA-PBE) results for CeBO3 after structural relaxation.

Structure (extended XYZ):
```
10
Lattice="4.136 0.000 0.000 0.000 5.113 0.000 -1.999 0.000 6.021" Properties=species:S:1:pos:R:3 pbc="T T T"
Ce -0.080 1.278 1.671
Ce 2.217 3.835 4.350
B 1.573 3.835 1.472
B 0.564 1.278 4.550
O 0.461 3.835 0.657
O 0.074 0.084 4.051
O 0.074 2.473 4.051
O 2.063 2.640 1.970
O 2.063 5.029 1.970
O 1.676 1.278 5.364
```

Results
Total energy after the MP2020 corrections, eV per cell: -88.99

***

Record 3
DFT (GGA-PBE) results for CeB3O6 after structural relaxation.

Structure (extended XYZ):
```
40
Lattice="4.263 0.000 0.000 0.000 11.810 0.000 -0.173 0.000 7.306" Properties=species:S:1:pos:R:3 pbc="T T T"
Ce 0.846 1.421 2.780
Ce 0.759 4.484 6.433
Ce 3.331 7.326 0.873
Ce 3.244 10.389 4.526
B 0.675 1.111 6.385
B 0.762 4.794 2.732
B 1.255 7.341 3.112
B 1.169 10.374 6.765
B 1.249 7.873 5.760
B 1.335 9.842 2.107
B 2.755 1.968 5.199
B 2.841 3.937 1.546
B 2.921 1.436 0.541
B 2.835 4.469 4.194
B 3.328 7.016 4.574
B 3.414 10.699 0.921
O 0.553 7.403 4.459
O 0.640 10.312 0.806
O 0.817 6.186 2.315
O 0.730 11.529 5.968
O 0.883 8.450 2.236
O 0.797 9.265 5.889
O 0.914 6.975 6.857
O 1.001 10.740 3.204
O 1.283 1.992 5.379
O 1.370 3.913 1.726
O 1.478 1.411 0.353
O 1.391 4.494 4.006
O 2.699 7.316 3.300
O 2.612 10.399 6.953
O 2.720 7.897 5.580
O 2.806 9.818 1.927
O 3.089 1.070 4.102
O 3.175 4.835 0.449
O 3.293 2.545 1.417
O 3.206 3.360 5.070
O 3.359 0.281 1.338
O 3.273 5.624 4.991
O 3.450 1.498 6.500
O 3.536 4.407 2.847
```

Results
Distance to the lowest polymorph of the same formula, meV per atom: 0
Total energy after the MP2020 corrections, eV per cell: -348.90

***

Record 4
DFT (GGA-PBE) results for CeBO3 after structural relaxation.

Structure (extended XYZ):
```
20
Lattice="5.826 0.000 0.000 0.000 5.112 0.000 0.000 0.000 8.231" Properties=species:S:1:pos:R:3 pbc="T T T"
Ce 1.419 1.278 0.706
Ce 1.494 3.834 4.822
Ce 4.332 1.278 3.409
Ce 4.408 3.834 7.524
B 0.463 1.278 6.095
B 2.451 3.834 1.980
B 3.376 1.278 6.251
B 5.364 3.834 2.136
O 0.496 0.085 6.796
O 0.496 2.471 6.796
O 0.527 1.278 4.720
O 2.386 3.834 0.605
O 2.417 2.641 2.680
O 2.417 5.027 2.680
O 3.409 0.085 5.551
O 3.409 2.471 5.551
O 3.441 1.278 7.626
O 5.299 3.834 3.511
O 5.331 2.641 1.435
O 5.331 5.027 1.435
```

Results
Total energy after the MP2020 corrections, eV per cell: -177.93

***

Record 5
DFT (GGA-PBE) results for CeB3O6 after structural relaxation.

Structure (extended XYZ):
```
40
Lattice="18.615 0.000 0.000 0.000 4.500 0.000 0.000 0.000 4.316" Properties=species:S:1:pos:R:3 pbc="T T T"
Ce 2.967 0.890 0.000
Ce 6.340 0.890 2.158
Ce 12.275 3.610 0.000
Ce 15.648 3.610 2.158
B 0.028 3.703 4.125
B 1.365 3.037 2.076
B 3.958 2.908 2.156
B 5.350 2.908 4.314
B 7.943 3.037 4.234
B 9.279 3.703 1.967
B 9.336 0.797 4.125
B 10.672 1.463 2.076
B 13.265 1.592 2.156
B 14.657 1.592 4.314
B 17.250 1.463 4.234
B 18.587 0.797 1.967
O 0.304 3.920 1.346
O 1.129 1.629 1.753
O 1.268 3.297 3.520
O 2.685 3.455 1.601
O 3.898 1.455 2.128
O 4.168 3.392 3.537
O 5.140 3.392 1.379
O 5.409 1.455 4.286
O 6.622 3.455 3.759
O 8.040 3.297 1.362
O 8.179 1.629 3.911
O 9.004 3.920 3.504
O 9.611 0.580 1.346
O 10.436 2.870 1.753
O 10.576 1.203 3.520
O 11.993 1.045 1.601
O 13.206 3.045 2.128
O 13.475 1.108 3.537
O 14.447 1.108 1.379
O 14.717 3.045 4.286
O 15.930 1.045 3.759
O 17.347 1.203 1.362
O 17.487 2.870 3.911
O 18.312 0.580 3.504
```

Results
Distance to the lowest polymorph of the same formula, meV per atom: 39
Total energy after the MP2020 corrections, eV per cell: -347.35

***

Record 6
DFT (GGA-PBE) results for CeB3O6 after structural relaxation.

Structure (extended XYZ):
```
20
Lattice="4.992 -4.099 0.000 4.992 4.099 0.000 -3.957 0.000 5.199" Properties=species:S:1:pos:R:3 pbc="T T T"
Ce 2.024 2.441 3.899
Ce 4.002 -2.441 1.300
B -0.905 0.560 4.773
B 4.002 2.279 1.300
B 1.073 -0.560 2.173
B 4.952 0.560 3.026
B 2.024 -2.279 3.899
B 6.931 -0.560 0.426
O 2.810 3.164 1.485
O 0.989 0.707 2.605
O 3.934 1.527 0.051
O 5.194 3.164 1.115
O 2.968 -0.707 0.005
O 4.071 1.527 2.549
O 1.955 -1.527 2.650
O 3.058 0.707 5.194
O 0.832 -3.164 4.085
O 2.092 -1.527 5.149
O 5.037 -0.707 2.594
O 3.216 -3.164 3.714
```

Results
Distance to the lowest polymorph of the same formula, meV per atom: 32
Total energy after the MP2020 corrections, eV per cell: -173.81

***

Record 7
DFT (GGA-PBE) results for CeSc3B4O12 after structural relaxation.

Structure (extended XYZ):
```
20
Lattice="4.942 2.853 2.682 -4.942 2.853 2.682 0.000 -5.706 2.682" Properties=species:S:1:pos:R:3 pbc="T T T"
Ce 0.000 0.000 0.000
Sc -2.708 -1.015 2.682
Sc -2.708 1.015 5.364
Sc 0.475 2.853 2.682
B -2.226 -3.855 4.023
B 0.000 0.000 4.023
B -2.226 3.855 4.023
B 4.452 0.000 4.023
O -2.951 -2.683 3.908
O -4.045 0.000 4.023
O -0.848 -3.897 4.138
O -1.388 0.000 4.023
O -2.951 2.683 4.138
O 2.023 -3.503 4.023
O 0.694 -1.202 4.023
O -0.848 3.897 3.908
O 0.694 1.202 4.023
O 3.799 -1.214 3.908
O 2.023 3.503 4.023
O 3.799 1.214 4.138
```

Results
Total energy after the MP2020 corrections, eV per cell: -179.88

***

Record 8
DFT (GGA-PBE) results for CeBPd3 after structural relaxation.

Structure (extended XYZ):
```
5
Lattice="4.381 0.000 0.000 0.000 4.381 0.000 0.000 0.000 4.381" Properties=species:S:1:pos:R:3 pbc="T T T"
Ce 0.000 0.000 0.000
B 2.191 2.191 2.191
Pd 0.000 2.191 2.191
Pd 2.191 0.000 2.191
Pd 2.191 2.191 0.000
```

***

Record 9
DFT (GGA-PBE) results for CeReB4 after structural relaxation.

Structure (extended XYZ):
```
24
Lattice="6.013 0.000 0.000 0.000 11.654 0.000 0.000 0.000 3.679" Properties=species:S:1:pos:R:3 pbc="T T T"
Ce 0.763 1.751 0.000
Ce 2.244 7.578 0.000
Ce 3.769 4.076 0.000
Ce 5.250 9.902 0.000
Re 0.817 4.767 0.000
Re 2.189 10.593 0.000
Re 3.824 1.060 0.000
Re 5.196 6.887 0.000
B 0.147 8.047 1.840
B 0.673 6.364 1.840
B 0.829 11.288 1.840
B 1.288 9.498 1.840
B 1.718 3.671 1.840
B 2.178 5.461 1.840
B 2.333 0.537 1.840
B 2.859 2.220 1.840
B 3.154 9.433 1.840
B 3.680 11.116 1.840
B 3.835 6.193 1.840
B 4.294 7.983 1.840
B 4.725 2.156 1.840
B 5.184 0.366 1.840
B 5.340 5.290 1.840
B 5.865 3.606 1.840
```

***

Record 10
DFT (GGA-PBE) results for Ce2Re3B6 after structural relaxation.

Structure (extended XYZ):
```
22
Lattice="3.398 -5.290 0.000 3.398 5.290 0.000 -0.146 0.000 7.521" Properties=species:S:1:pos:R:3 pbc="T T T"
Ce 1.537 1.851 1.274
Ce 1.464 -1.851 5.035
Ce 5.185 1.851 2.486
Ce 5.112 -1.851 6.246
Re 3.361 4.345 1.880
Re 2.622 0.970 4.418
Re 2.695 -0.970 0.657
Re 3.954 0.970 6.863
Re 4.027 -0.970 3.103
Re 3.288 -4.345 5.641
B 0.628 0.503 3.492
B 2.458 3.037 3.627
B 0.555 -0.503 7.252
B 1.901 0.482 6.508
B 4.264 3.037 0.134
B 1.974 -0.482 2.748
B 4.675 0.482 4.773
B 2.385 -3.037 7.387
B 4.748 -0.482 1.013
B 6.094 0.503 0.268
B 4.191 -3.037 3.894
B 6.021 -0.503 4.029
```

***

Record 11
DFT (GGA-PBE) results for CeBRh3 after structural relaxation.

Structure (extended XYZ):
```
5
Lattice="4.244 0.000 0.000 0.000 4.244 0.000 0.000 0.000 4.244" Properties=species:S:1:pos:R:3 pbc="T T T"
Ce 0.000 0.000 0.000
B 2.122 2.122 2.122
Rh 0.000 2.122 2.122
Rh 2.122 0.000 2.122
Rh 2.122 2.122 0.000
```

***

Record 12
DFT (GGA-PBE) results for Ce2B6Rh9 after structural relaxation.

Structure (extended XYZ):
```
17
Lattice="5.643 0.000 0.000 -2.822 4.887 0.000 0.000 0.000 8.600" Properties=species:S:1:pos:R:3 pbc="T T T"
Ce 0.000 0.000 0.000
Ce 0.000 0.000 3.476
B 0.000 3.258 0.312
B 0.000 3.258 3.190
B 0.000 3.258 6.048
B 2.822 1.629 0.312
B 2.822 1.629 3.190
B 2.822 1.629 6.048
Rh -1.411 2.444 1.749
Rh -1.411 2.444 4.643
Rh -1.411 2.444 7.454
Rh 2.822 0.000 1.749
Rh 2.822 0.000 4.643
Rh 2.822 0.000 7.454
Rh 1.411 2.444 1.749
Rh 1.411 2.444 4.643
Rh 1.411 2.444 7.454
```

***

Record 13
DFT (GGA-PBE) results for CeB2Ru2Rh after structural relaxation.

Structure (extended XYZ):
```
6
Lattice="2.810 -4.744 0.000 2.810 4.744 0.000 0.000 0.000 3.004" Properties=species:S:1:pos:R:3 pbc="T T T"
Ce 0.000 0.000 0.000
B 2.810 1.629 0.000
B 2.810 -1.629 0.000
Ru 1.405 2.372 1.502
Ru 1.405 -2.372 1.502
Rh 2.810 0.000 1.502
```

***

Record 14
DFT (GGA-PBE) results for CeB2Ru3 after structural relaxation.

Structure (extended XYZ):
```
6
Lattice="5.549 0.000 0.000 -2.774 4.806 0.000 0.000 0.000 3.012" Properties=species:S:1:pos:R:3 pbc="T T T"
Ce 0.000 0.000 0.000
B 0.000 3.204 0.000
B 2.774 1.602 0.000
Ru -1.387 2.403 1.506
Ru 2.774 0.000 1.506
Ru 1.387 2.403 1.506
```

***

Record 15
DFT (GGA-PBE) results for CeB4Ru4 after structural relaxation.

Structure (extended XYZ):
```
36
Lattice="-3.758 3.758 7.591 3.758 -3.758 7.591 3.758 3.758 -7.591" Properties=species:S:1:pos:R:3 pbc="T T T"
Ce 3.758 1.879 -1.898
Ce 0.000 1.879 1.898
Ce 3.758 1.879 5.693
Ce 0.000 1.879 9.489
B 1.261 0.797 -0.651
B 1.082 -0.618 3.145
B 2.497 0.797 0.651
B 4.840 -0.618 4.446
B 4.840 0.618 3.145
B 2.497 -0.797 6.940
B 1.082 0.618 4.446
B 1.261 -0.797 8.242
B 2.497 4.555 -0.651
B 2.676 3.140 3.145
B 1.261 4.555 0.651
B -1.082 3.140 4.446
B -1.082 4.376 3.145
B 1.261 2.961 6.940
B 2.676 4.376 4.446
B 2.497 2.961 8.242
Ru 6.656 0.767 -0.966
Ru 2.646 2.738 -4.762
Ru 4.617 0.767 0.966
Ru 2.646 -1.020 4.762
Ru 2.646 1.019 2.829
Ru 0.859 2.991 -0.966
Ru 2.646 4.777 -2.829
Ru 2.898 2.991 0.966
Ru 0.859 0.767 6.625
Ru 1.112 -1.020 10.421
Ru 2.898 0.767 8.558
Ru 1.112 2.738 4.762
Ru 1.112 4.777 2.829
Ru -0.859 2.991 6.625
Ru 1.112 1.019 12.353
Ru -2.898 2.991 8.558
```

***

Energy relative to the elements in eV/atom, matching the order above: -0.585; -3.407; -3.157; -3.405; -3.118; -3.125; -3.443; -0.497; -0.579; -0.522; -0.761; -0.616; -0.591; -0.510; -0.531
Total energy in eV per atom, matching the order above: -6.9901; -8.4864; -8.3102; -8.4843; -8.2715; -8.2784; -8.5818; -6.1277; -8.0945; -8.6380; -7.7020; -7.5702; -8.1247; -8.3622; -8.2804
V in Å³ per cell, matching the order above: 248.5; 127.3; 367.8; 245.2; 361.5; 212.8; 226.9; 84.1; 257.8; 270.3; 76.4; 237.3; 80.1; 80.3; 428.8